Below is a relaxed KV3O8 crystal, with properties calculated at the GGA+U level.

Properties
E (MP2020) (eV per cell): -192.62
SG: No. 11
Calculated total energy (eV per atom): -7.143
DFT formation energy (meV per atom): -2364

```
KV3O8
1.0
5.1207 0.0000 0.0000
0.0000 8.6034 0.0000
-1.1988 0.0000 7.7988
K V O
2 6 16
Direct
0.0333 0.2500 0.4407
0.9667 0.7500 0.5593
0.0739 0.2500 0.9261
0.4471 0.5550 0.1837
0.4471 0.9450 0.1837
0.5529 0.0550 0.8163
0.5529 0.4450 0.8163
0.9261 0.7500 0.0739
0.0967 0.7500 0.9156
0.1227 0.6014 0.2258
0.1227 0.8986 0.2258
0.3221 0.0882 0.9942
0.3221 0.4118 0.9942
0.4070 0.2500 0.7422
0.4213 0.5631 0.6655
0.4213 0.9369 0.6655
0.5787 0.0631 0.3345
0.5787 0.4369 0.3345
0.5930 0.7500 0.2578
0.6779 0.5882 0.0058
0.6779 0.9118 0.0058
0.8773 0.1014 0.7742
0.8773 0.3986 0.7742
0.9033 0.2500 0.0844
```